Entry 1:
First-principles (PBE with a Hubbard U) data for a relaxed BaCaCrSbO6 crystal, as listed in Materials Project.

```
BaCaCrSbO6
1.0
0.000 4.024 4.024
4.024 0.000 4.024
4.024 4.024 0.000
Ba Ca Cr Sb O
1 1 1 1 6
Direct
0.000 0.000 0.000
0.500 0.500 0.500
0.750 0.750 0.750
0.250 0.250 0.250
0.002 0.002 0.498
0.002 0.498 0.002
0.002 0.498 0.498
0.498 0.002 0.002
0.498 0.002 0.498
0.498 0.498 0.002
```

Properties
* DFT total energy: -6.69 eV per atom
* SG: F-43m (216)
* crystal system: cubic

=====

Entry 2:
First-principles (PBE with a Hubbard U) data for a relaxed Cu12Mo3S5O36 crystal, as listed in Materials Project.

```
Cu12Mo3S5O36
1.0
7.486 0.000 0.000
0.000 6.827 0.000
-0.005 0.000 13.694
Cu Mo S O
12 3 5 36
Direct
0.000 0.000 0.000
0.002 0.500 0.277
0.177 0.254 0.845
0.177 0.746 0.845
0.332 0.500 0.680
0.351 0.000 0.392
0.521 0.500 0.895
0.524 0.000 0.179
0.678 0.250 0.339
0.678 0.750 0.339
0.835 0.500 0.497
0.853 0.000 0.787
0.430 0.000 0.653
0.430 0.500 0.151
0.929 0.000 0.526
0.012 0.000 0.239
0.346 0.500 0.440
0.508 0.000 0.939
0.849 0.500 0.741
0.919 0.500 0.022
0.029 0.322 0.994
0.029 0.678 0.994
0.072 0.000 0.866
0.138 0.000 0.464
0.150 0.500 0.432
0.209 0.000 0.248
0.221 0.500 0.211
0.290 0.500 0.822
0.305 0.220 0.686
0.305 0.780 0.686
0.393 0.500 0.023
0.411 0.500 0.543
0.421 0.323 0.389
0.421 0.677 0.389
0.433 0.177 0.888
0.433 0.823 0.888
0.449 0.000 0.042
0.478 0.000 0.527
0.553 0.281 0.188
0.553 0.719 0.188
0.575 0.000 0.320
0.639 0.000 0.715
0.651 0.500 0.754
0.705 0.000 0.929
0.748 0.500 0.968
0.784 0.500 0.354
0.805 0.220 0.490
0.805 0.780 0.490
0.881 0.500 0.128
0.900 0.500 0.637
0.926 0.322 0.789
0.926 0.678 0.789
0.937 0.178 0.289
0.937 0.822 0.289
0.950 0.000 0.136
0.977 0.000 0.651
```

Properties
* DFT total energy: -5.83 eV per atom
* SG: Pm (6)
* crystal system: monoclinic